UW3O11 after structural relaxation. Source: Materials Project, functional PBE+U.

abc: 7.623 3.927 14.193
angles: 90.00 90.00 90.00
Atoms (fractional coordinates):
U1 0.250 0.000 0.018
U2 0.750 0.000 0.982
W1 0.000 0.000 0.500
W2 0.001 0.000 0.767
W3 0.499 0.000 0.767
W4 0.500 0.000 0.500
W5 0.501 0.000 0.233
W6 0.999 0.000 0.233
O1 0.000 0.500 0.229
O2 0.000 0.500 0.500
O3 0.000 0.500 0.771
O4 0.038 0.000 0.910
O5 0.042 0.000 0.363
O6 0.250 0.000 0.194
O7 0.250 0.000 0.521
O8 0.250 0.000 0.751
O9 0.250 0.500 0.038
O10 0.458 0.000 0.363
O11 0.462 0.000 0.910
O12 0.500 0.500 0.229
O13 0.500 0.500 0.500
O14 0.500 0.500 0.771
O15 0.538 0.000 0.090
O16 0.542 0.000 0.637
O17 0.750 0.000 0.249
O18 0.750 0.000 0.479
O19 0.750 0.000 0.806
O20 0.750 0.500 0.962
O21 0.958 0.000 0.637
O22 0.962 0.000 0.090

Results
V (Å³ per cell): 425
Formation enthalpy at 0 K (meV/atom): -2509
E_tot (eV/cell): -242.70
Space-group type: Pmma, No. 51